Record 1
A plane-wave DFT calculation with PBE with a Hubbard U was carried out for Ba2Mn3Se6O18 after structural relaxation.

a b c (Å): 9.2462 5.5676 18.1829
angles (deg): 85.48 90.00 90.00
Last column: nearest neighbours and their distance in Å.
Element x y z (fractional)
1 Ba 0.3350 0.9809 0.7960  9 O 2.77-3.10
2 Ba 0.1650 0.9809 0.2960  9 O 2.77-3.10
3 Ba 0.6650 0.0191 0.2040  9 O 2.77-3.10
4 Ba 0.8350 0.0191 0.7040  9 O 2.77-3.10
5 Mn 0.5008 0.5153 0.3359  4 O 1.94-2.08
6 Mn 0.0000 0.0000 0.5000  6 O 2.22-2.23
7 Mn 0.4992 0.4847 0.6641  4 O 1.94-2.08
8 Mn 0.5000 0.0000 0.0000  6 O 2.22-2.23
9 Mn 0.9992 0.5153 0.8359  4 O 1.94-2.08
10 Mn 0.0008 0.4847 0.1641  4 O 1.94-2.08
11 Se 0.8589 0.0103 0.9318  3 O 1.71-1.77
12 Se 0.6411 0.0103 0.4318  3 O 1.71-1.77
13 Se 0.7036 0.4982 0.0476  3 O 1.72-1.77
14 Se 0.2964 0.5018 0.9524  3 O 1.72-1.77
15 Se 0.2036 0.5018 0.4524  3 O 1.72-1.77
16 Se 0.1466 0.5054 0.6877  3 O 1.72-1.77
17 Se 0.1411 0.9897 0.0682  3 O 1.71-1.77
18 Se 0.8534 0.4946 0.3123  3 O 1.72-1.77
19 Se 0.7964 0.4982 0.5476  3 O 1.72-1.77
20 Se 0.3534 0.5054 0.1877  3 O 1.72-1.77
21 Se 0.3589 0.9897 0.5682  3 O 1.71-1.77
22 Se 0.6466 0.4946 0.8123  3 O 1.72-1.77
23 O 0.5660 0.2826 0.7592  1 Se 1.75
24 O 0.0429 0.7174 0.0821  1 Se 1.77, 1 Mn 1.94
25 O 0.1818 0.9055 0.5779  1 Se 1.71
26 O 0.6833 0.3948 0.6223  1 Se 1.77, 1 Mn 1.95
27 O 0.3246 0.5584 0.7182  1 Se 1.77, 1 Mn 1.95
28 O 0.6106 0.8605 0.3538  1 Se 1.72
29 O 0.8246 0.4416 0.7818  1 Se 1.77, 1 Mn 1.95
30 O 0.5681 0.2923 0.0688  1 Se 1.72
31 O 0.1106 0.1395 0.1462  1 Se 1.72
32 O 0.9340 0.2826 0.2592  1 Se 1.75
33 O 0.6365 0.7625 0.0765  1 Se 1.72
34 O 0.4571 0.7174 0.5821  1 Se 1.77, 1 Mn 1.94
35 O 0.3635 0.2375 0.9235  1 Se 1.72
36 O 0.0681 0.7077 0.4312  1 Se 1.72
37 O 0.0660 0.7174 0.7408  1 Se 1.75
38 O 0.5993 0.7391 0.7534  1 Se 1.72
39 O 0.6754 0.4416 0.2818  1 Se 1.77, 1 Mn 1.95
40 O 0.4340 0.7174 0.2408  1 Se 1.75
41 O 0.4007 0.2609 0.2466  1 Se 1.72
42 O 0.1833 0.6052 0.8777  1 Se 1.77, 1 Mn 1.95
43 O 0.9007 0.7391 0.2534  1 Se 1.72
44 O 0.3894 0.1395 0.6462  1 Se 1.72
45 O 0.8635 0.7625 0.5765  1 Se 1.72
46 O 0.9319 0.2923 0.5688  1 Se 1.72
47 O 0.8167 0.3948 0.1223  1 Se 1.77, 1 Mn 1.95
48 O 0.3167 0.6052 0.3777  1 Se 1.77, 1 Mn 1.95
49 O 0.3182 0.9055 0.0779  1 Se 1.71
50 O 0.5429 0.2826 0.4179  1 Se 1.77, 1 Mn 1.94
51 O 0.1754 0.5584 0.2182  1 Se 1.77, 1 Mn 1.95
52 O 0.1365 0.2375 0.4235  1 Se 1.72
53 O 0.8894 0.8605 0.8538  1 Se 1.72
54 O 0.0993 0.2609 0.7466  1 Se 1.72
55 O 0.6818 0.0945 0.9221  1 Se 1.71
56 O 0.4319 0.7077 0.9312  1 Se 1.72
57 O 0.8182 0.0945 0.4221  1 Se 1.71
58 O 0.9571 0.2826 0.9179  1 Se 1.77, 1 Mn 1.94

Calculated total energy (eV/atom): -6.12
ΔE_f (meV/atom): -1840

***

Record 2
A plane-wave DFT calculation with PBE with a Hubbard U was carried out for BaTiMn2Si2O10 after structural relaxation.

a b c (Å): 5.4066 6.9096 11.4984
angles (deg): 90.00 96.46 90.00
Last column: nearest neighbours and their distance in Å.
Element x y z (fractional)
1 Ba 0.7669 0.2500 0.5690  6 O 2.84-2.88
2 Ba 0.2331 0.7500 0.4310  6 O 2.84-2.88
3 Ti 0.2290 0.2500 0.3363  1 O 1.73
4 Ti 0.7710 0.7500 0.6637  1 O 1.73
5 Mn 0.5041 0.2500 0.0032  4 O 1.90-2.11
6 Mn 0.4959 0.7500 0.9968  4 O 1.90-2.11
7 Mn 0.0000 0.5000 0.0000  6 O 2.12-2.29
8 Mn 0.0000 0.0000 0.0000  6 O 2.12-2.29
9 Si 0.2960 0.4808 0.7546  4 O 1.61-1.66
10 Si 0.7040 0.9808 0.2454  4 O 1.61-1.66
11 Si 0.7040 0.5192 0.2454  4 O 1.61-1.66
12 Si 0.2960 0.0192 0.7546  4 O 1.61-1.66
13 O 0.6587 0.4881 0.1014  1 Si 1.66
14 O 0.3413 0.9881 0.8986  1 Si 1.66
15 O 0.3413 0.5119 0.8986  1 Si 1.66
16 O 0.6587 0.0119 0.1014  1 Si 1.66
17 O 0.8066 0.2500 0.9330  3 Mn 1.90-2.12
18 O 0.1934 0.7500 0.0670  3 Mn 1.90-2.12
19 O 0.2514 0.2500 0.4874  1 Ti 1.73
20 O 0.7486 0.7500 0.5126  1 Ti 1.73
21 O 0.1948 0.2500 0.0680  3 Mn 1.91-2.13
22 O 0.8052 0.7500 0.9320  3 Mn 1.91-2.13
23 O 0.2812 0.2500 0.7351  2 Si 1.61
24 O 0.7188 0.7500 0.2649  2 Si 1.61
25 O 0.4782 0.4466 0.3155  1 Si 1.62
26 O 0.5218 0.9466 0.6845  1 Si 1.62
27 O 0.5218 0.5534 0.6845  1 Si 1.62
28 O 0.4782 0.0534 0.3155  1 Si 1.62
29 O 0.9743 0.4458 0.3031  1 Si 1.62
30 O 0.0257 0.9458 0.6969  1 Si 1.62
31 O 0.0257 0.5542 0.6969  1 Si 1.62
32 O 0.9743 0.0542 0.3031  1 Si 1.62

Calculated total energy (eV/atom): -7.80
ΔE_f (meV/atom): -2906

***

Record 3
A plane-wave DFT calculation with PBE with a Hubbard U was carried out for Ba2SmMnO6 after structural relaxation.

a b c (Å): 5.9828 5.9828 5.9828
angles (deg): 60.00 60.00 60.00
Last column: nearest neighbours and their distance in Å.
Element x y z (fractional)
1 Ba 0.2500 0.2500 0.2500  12 O 3.00
2 Ba 0.7500 0.7500 0.7500  12 O 3.00
3 Sm 0.5000 0.5000 0.5000  6 O 2.29
4 Mn 0.0000 0.0000 0.0000  6 O 1.94
5 O 0.7708 0.2292 0.2292  1 Mn 1.94
6 O 0.2292 0.7708 0.7708  1 Mn 1.94
7 O 0.7708 0.2292 0.7708  1 Mn 1.94
8 O 0.2292 0.7708 0.2292  1 Mn 1.94
9 O 0.7708 0.7708 0.2292  1 Mn 1.94
10 O 0.2292 0.2292 0.7708  1 Mn 1.94

Calculated total energy (eV/atom): -6.95
ΔE_f (meV/atom): -2784

***

Record 4
A plane-wave DFT calculation with PBE with a Hubbard U was carried out for BaSrSmMnO6 after structural relaxation.

a b c (Å): 5.9331 5.9368 8.3940
angles (deg): 90.61 89.60 89.92
Last column: nearest neighbours and their distance in Å.
Element x y z (fractional)
1 Ba 0.9978 0.0108 0.2505  9 O 2.78-3.03
2 Ba 0.0022 0.9892 0.7495  9 O 2.78-3.03
3 Sr 0.5046 0.5254 0.2530  7 O 2.69-2.89
4 Sr 0.4954 0.4746 0.7470  7 O 2.69-2.89
5 Sm 0.5000 0.0000 0.0000  6 O 2.29
6 Sm 0.0000 0.5000 0.5000  6 O 2.28-2.30
7 Mn 0.0000 0.5000 0.0000  6 O 1.93-1.95
8 Mn 0.5000 0.0000 0.5000  6 O 1.93-1.95
9 O 0.2144 0.2570 0.9770  1 Mn 1.93
10 O 0.2957 0.7456 0.5255  1 Mn 1.95
11 O 0.7856 0.7430 0.0230  1 Mn 1.93
12 O 0.7043 0.2544 0.4745  1 Mn 1.95
13 O 0.2491 0.7089 0.9713  1 Mn 1.95
14 O 0.2536 0.2123 0.5164  1 Mn 1.93
15 O 0.7509 0.2911 0.0287  1 Mn 1.95
16 O 0.7464 0.7877 0.4836  1 Mn 1.93
17 O 0.4652 0.9781 0.2711  1 Mn 1.94
18 O 0.0536 0.5048 0.2281  1 Mn 1.94
19 O 0.5348 0.0219 0.7289  1 Mn 1.94
20 O 0.9464 0.4952 0.7719  1 Mn 1.94

Calculated total energy (eV/atom): -6.91
ΔE_f (meV/atom): -2770

***

Record 5
A plane-wave DFT calculation with PBE with a Hubbard U was carried out for BaSrSmMnO6 after structural relaxation.

a b c (Å): 5.9335 5.9335 5.9335
angles (deg): 60.00 60.00 60.00
Last column: nearest neighbours and their distance in Å.
Element x y z (fractional)
1 Ba 0.2500 0.2500 0.2500  12 O 2.97
2 Sr 0.7500 0.7500 0.7500  12 O 2.97
3 Sm 0.5000 0.5000 0.5000  6 O 2.27
4 Mn 0.0000 0.0000 0.0000  6 O 1.92
5 O 0.7706 0.2294 0.2294  1 Mn 1.92
6 O 0.2294 0.7706 0.7706  1 Mn 1.92
7 O 0.7706 0.2294 0.7706  1 Mn 1.92
8 O 0.2294 0.7706 0.2294  1 Mn 1.92
9 O 0.7706 0.7706 0.2294  1 Mn 1.92
10 O 0.2294 0.2294 0.7706  1 Mn 1.92

Calculated total energy (eV/atom): -6.91
ΔE_f (meV/atom): -2768

***

Record 6
A plane-wave DFT calculation with PBE with a Hubbard U was carried out for Ba2MnSnO6 after structural relaxation.

a b c (Å): 5.7791 5.7791 5.7791
angles (deg): 60.00 60.00 60.00
Last column: nearest neighbours and their distance in Å.
Element x y z (fractional)
1 Ba 0.2500 0.2500 0.2500  12 O 2.89
2 Ba 0.7500 0.7500 0.7500  12 O 2.89
3 Mn 0.0000 0.0000 0.0000  6 O 1.99
4 Sn 0.5000 0.5000 0.5000  6 O 2.10
5 O 0.7571 0.2429 0.2429  1 Mn 1.99, 1 Sn 2.10
6 O 0.2429 0.7571 0.7571  1 Mn 1.99, 1 Sn 2.10
7 O 0.7571 0.2429 0.7571  1 Mn 1.99, 1 Sn 2.10
8 O 0.2429 0.7571 0.2429  1 Mn 1.99, 1 Sn 2.10
9 O 0.7571 0.7571 0.2429  1 Mn 1.99, 1 Sn 2.10
10 O 0.2429 0.2429 0.7571  1 Mn 1.99, 1 Sn 2.10

Calculated total energy (eV/atom): -6.55
ΔE_f (meV/atom): -2454

***

Record 7
A plane-wave DFT calculation with PBE with a Hubbard U was carried out for BaMnSnWO6 after structural relaxation.

a b c (Å): 5.8436 5.8436 5.8436
angles (deg): 60.00 60.00 60.00
Last column: nearest neighbours and their distance in Å.
Element x y z (fractional)
1 Ba 0.7500 0.7500 0.7500  12 O 2.92
2 Mn 0.0000 0.0000 0.0000  6 O 2.18
3 Sn 0.2500 0.2500 0.2500  12 O 2.92
4 W 0.5000 0.5000 0.5000  6 O 1.95
5 O 0.7365 0.2635 0.2635  1 W 1.95, 1 Mn 2.18
6 O 0.2635 0.7365 0.7365  1 W 1.95, 1 Mn 2.18
7 O 0.7365 0.2635 0.7365  1 W 1.95, 1 Mn 2.18
8 O 0.2635 0.7365 0.2635  1 W 1.95, 1 Mn 2.18
9 O 0.7365 0.7365 0.2635  1 W 1.95, 1 Mn 2.18
10 O 0.2635 0.2635 0.7365  1 W 1.95, 1 Mn 2.18

Calculated total energy (eV/atom): -7.01
ΔE_f (meV/atom): -2262

***

Record 8
A plane-wave DFT calculation with PBE with a Hubbard U was carried out for BaSrMn4O12 after structural relaxation.

a b c (Å): 5.4651 5.4651 7.7132
angles (deg): 90.00 90.00 90.00
Last column: nearest neighbours and their distance in Å.
Element x y z (fractional)
1 Ba 0.5000 0.5000 0.0000  12 O 2.73-2.80
2 Sr 0.0000 0.0000 0.5000  12 O 2.66-2.73
3 Mn 0.0000 0.5000 0.7480  6 O 1.91-1.94
4 Mn 0.0000 0.5000 0.2520  6 O 1.91-1.94
5 Mn 0.5000 0.0000 0.7480  6 O 1.91-1.94
6 Mn 0.5000 0.0000 0.2520  6 O 1.91-1.94
7 O 0.2442 0.2442 0.7433  2 Mn 1.93
8 O 0.2442 0.2442 0.2567  2 Mn 1.93
9 O 0.7558 0.7558 0.7433  2 Mn 1.93
10 O 0.7558 0.7558 0.2567  2 Mn 1.93
11 O 0.7558 0.2442 0.7433  2 Mn 1.93
12 O 0.7558 0.2442 0.2567  2 Mn 1.93
13 O 0.2442 0.7558 0.7433  2 Mn 1.93
14 O 0.2442 0.7558 0.2567  2 Mn 1.93
15 O 0.0000 0.5000 0.5000  2 Mn 1.91
16 O 0.0000 0.5000 0.0000  2 Mn 1.94
17 O 0.5000 0.0000 0.5000  2 Mn 1.91
18 O 0.5000 0.0000 0.0000  2 Mn 1.94

Calculated total energy (eV/atom): -6.37
ΔE_f (meV/atom): -1668